The following is a DFT calculation (PBE-GGA) of an optimized crystal structure of Na26Cd141.

a = 21.703 Å, b = 21.703 Å, c = 9.806 Å
α = 90.00°, β = 90.00°, γ = 120.00°
Atoms (fractional coordinates):
Cd: 0.546 0.889 0.224
Na: 0.000 0.000 0.824
Cd: 0.917 0.683 0.000
Na: 0.724 0.724 0.309
Cd: 0.381 0.619 0.839
Na: 0.724 0.000 0.309
Cd: 0.864 0.727 0.500
Cd: 0.129 0.721 0.500
Cd: 0.000 0.420 0.500
Na: 0.151 0.576 0.500
Cd: 0.738 0.476 0.345
Cd: 0.262 0.738 0.345
Cd: 0.821 0.179 0.243
Cd: 0.179 0.821 0.757
Cd: 0.906 0.094 0.238
Cd: 0.000 0.580 0.500
Cd: 0.906 0.811 0.238
Cd: 0.138 0.000 0.500
Na: 0.276 0.000 0.691
Na: 0.724 0.000 0.691
Cd: 0.592 0.871 0.500
Na: 0.758 0.517 0.000
Cd: 0.138 0.138 0.500
Cd: 0.656 0.546 0.776
Cd: 0.136 0.864 0.500
Cd: 0.446 0.554 0.000
Cd: 0.381 0.762 0.839
Cd: 0.862 0.000 0.500
Cd: 0.554 0.446 0.000
Na: 0.576 0.424 0.500
Cd: 0.454 0.344 0.224
Cd: 0.420 0.420 0.500
Cd: 0.358 0.179 0.757
Cd: 0.111 0.656 0.224
Cd: 0.619 0.381 0.161
Cd: 0.000 0.000 0.500
Cd: 0.546 0.656 0.776
Cd: 0.811 0.906 0.762
Cd: 0.189 0.094 0.238
Cd: 0.889 0.546 0.776
Cd: 0.667 0.333 0.500
Cd: 0.083 0.767 0.000
Cd: 0.476 0.738 0.655
Cd: 0.262 0.524 0.655
Cd: 0.000 0.850 0.000
Cd: 0.871 0.279 0.500
Cd: 0.500 0.500 0.754
Cd: 0.344 0.454 0.224
Cd: 0.000 0.150 0.000
Cd: 0.000 0.862 0.500
Cd: 0.580 0.580 0.500
Cd: 0.094 0.906 0.238
Cd: 0.619 0.238 0.839
Cd: 0.111 0.454 0.776
Cd: 0.683 0.917 0.000
Cd: 0.738 0.476 0.655
Cd: 0.111 0.454 0.224
Cd: 0.179 0.358 0.243
Cd: 0.408 0.129 0.500
Cd: 0.000 0.500 0.754
Na: 0.424 0.576 0.500
Cd: 0.850 0.850 0.000
Cd: 0.454 0.111 0.776
Cd: 0.580 0.000 0.500
Cd: 0.262 0.524 0.345
Na: 0.424 0.849 0.500
Cd: 0.892 0.446 0.000
Cd: 0.317 0.083 0.000
Cd: 0.850 0.000 0.000
Cd: 0.189 0.094 0.762
Cd: 0.917 0.233 0.000
Cd: 0.864 0.136 0.500
Na: 0.000 0.724 0.309
Cd: 0.871 0.592 0.500
Cd: 0.083 0.317 0.000
Na: 0.849 0.424 0.500
Cd: 0.738 0.262 0.655
Na: 0.000 0.276 0.691
Cd: 0.136 0.273 0.500
Na: 0.276 0.276 0.309
Cd: 0.393 0.000 0.000
Na: 0.276 0.000 0.309
Cd: 0.727 0.864 0.500
Na: 0.000 0.000 0.176
Cd: 0.094 0.189 0.762
Cd: 0.821 0.642 0.243
Cd: 0.150 0.150 0.000
Cd: 0.524 0.262 0.655
Cd: 0.333 0.667 0.500
Cd: 0.906 0.094 0.762
Cd: 0.619 0.238 0.161
Na: 0.483 0.242 0.000
Cd: 0.408 0.279 0.500
Cd: 0.094 0.189 0.238
Cd: 0.656 0.111 0.224
Cd: 0.454 0.111 0.224
Cd: 0.344 0.889 0.224
Cd: 0.767 0.083 0.000
Na: 0.242 0.483 0.000
Cd: 0.889 0.344 0.224
Cd: 0.233 0.317 0.000
Cd: 0.500 0.000 0.754
Cd: 0.454 0.344 0.776
Na: 0.517 0.758 0.000
Cd: 0.238 0.619 0.161
Cd: 0.524 0.262 0.345
Cd: 0.150 0.000 0.000
Cd: 0.889 0.546 0.224
Cd: 0.179 0.358 0.757
Cd: 0.279 0.408 0.500
Cd: 0.381 0.619 0.161
Cd: 0.000 0.393 0.000
Cd: 0.592 0.721 0.500
Cd: 0.906 0.811 0.762
Cd: 0.000 0.138 0.500
Cd: 0.554 0.108 0.000
Cd: 0.344 0.889 0.776
Na: 0.758 0.242 0.000
Na: 0.000 0.276 0.309
Cd: 0.358 0.179 0.243
Cd: 0.762 0.381 0.839
Cd: 0.767 0.683 0.000
Cd: 0.129 0.408 0.500
Cd: 0.262 0.738 0.655
Cd: 0.179 0.821 0.243
Cd: 0.094 0.906 0.762
Na: 0.242 0.758 0.000
Cd: 0.000 0.500 0.246
Cd: 0.656 0.111 0.776
Cd: 0.656 0.546 0.224
Cd: 0.476 0.738 0.345
Cd: 0.821 0.179 0.757
Cd: 0.642 0.821 0.243
Cd: 0.108 0.554 0.000
Cd: 0.238 0.619 0.839
Cd: 0.821 0.642 0.757
Cd: 0.762 0.381 0.161
Cd: 0.500 0.500 0.246
Cd: 0.642 0.821 0.757
Na: 0.276 0.276 0.691
Na: 0.000 0.724 0.691
Cd: 0.381 0.762 0.161
Cd: 0.811 0.906 0.238
Na: 0.576 0.151 0.500
Cd: 0.317 0.233 0.000
Cd: 0.233 0.917 0.000
Cd: 0.546 0.889 0.776
Cd: 0.889 0.344 0.776
Cd: 0.420 0.000 0.500
Cd: 0.721 0.592 0.500
Cd: 0.721 0.129 0.500
Cd: 0.344 0.454 0.776
Cd: 0.393 0.393 0.000
Cd: 0.619 0.381 0.839
Cd: 0.546 0.656 0.224
Cd: 0.607 0.607 0.000
Cd: 0.862 0.862 0.500
Cd: 0.500 0.000 0.246
Cd: 0.279 0.871 0.500
Cd: 0.000 0.607 0.000
Cd: 0.607 0.000 0.000
Na: 0.724 0.724 0.691
Cd: 0.273 0.136 0.500
Cd: 0.738 0.262 0.345
Cd: 0.683 0.767 0.000
Cd: 0.111 0.656 0.776
Cd: 0.446 0.892 0.000



The following is a DFT calculation (PBE-GGA) of an optimized crystal structure of Na2Cd11.

a = 9.793 Å, b = 9.793 Å, c = 9.793 Å
α = 90.00°, β = 90.00°, γ = 90.00°
Atoms (fractional coordinates):
Cd: 0.268 0.500 0.500
Cd: 0.734 0.000 0.843
Cd: 0.500 0.500 0.268
Cd: 0.843 0.266 0.000
Cd: 0.000 0.661 0.500
Cd: 0.661 0.500 0.000
Cd: 0.000 0.843 0.734
Cd: 0.266 0.000 0.843
Cd: 0.719 0.719 0.719
Cd: 0.500 0.268 0.500
Cd: 0.500 0.500 0.732
Cd: 0.500 0.732 0.500
Cd: 0.339 0.500 0.000
Cd: 0.266 0.000 0.157
Na: 0.000 0.500 0.197
Cd: 0.719 0.281 0.719
Cd: 0.000 0.339 0.500
Cd: 0.500 0.000 0.661
Cd: 0.734 0.000 0.157
Na: 0.197 0.000 0.500
Cd: 0.843 0.734 0.000
Cd: 0.000 0.157 0.734
Na: 0.500 0.803 0.000
Cd: 0.500 0.000 0.339
Na: 0.000 0.500 0.803
Cd: 0.000 0.157 0.266
Cd: 0.000 0.000 0.000
Cd: 0.281 0.281 0.281
Cd: 0.281 0.281 0.719
Cd: 0.732 0.500 0.500
Cd: 0.157 0.734 0.000
Na: 0.500 0.197 0.000
Cd: 0.157 0.266 0.000
Cd: 0.000 0.843 0.266
Cd: 0.719 0.281 0.281
Cd: 0.719 0.719 0.281
Cd: 0.281 0.719 0.719
Cd: 0.281 0.719 0.281
Na: 0.803 0.000 0.500



no.,calculated total energy (eV per atom)
1,-1.0583
2,-1.0533